{"formula": "NaCaNb3Si3S3O24", "functional": "GGA-PBE", "state": "relaxed", "vol_a3_per_fu": 541.01, "ef_kj_per_mol_atoms": -256.5, "lattice_angstrom": [[8.994, -0.009, 0.027], [-4.505, 7.757, -0.007], [0.068, 0.017, 23.276]], "species": ["O", "O", "O", "O", "O", "O", "O", "O", "O", "O", "O", "O", "O", "O", "O", "O", "O", "O", "O", "O", "O", "O", "O", "O", "O", "O", "O", "O", "O", "O", "O", "O", "O", "O", "O", "O", "O", "O", "O", "O", "O", "O", "O", "O", "O", "O", "O", "O", "O", "O", "O", "O", "O", "O", "O", "O", "O", "O", "O", "O", "O", "O", "O", "O", "O", "O", "O", "O", "O", "O", "O", "O", "S", "S", "S", "S", "S", "S", "S", "S", "S", "Nb", "Nb", "Nb", "Nb", "Nb", "Nb", "Nb", "Nb", "Nb", "Si", "Si", "Si", "Si", "Si", "Si", "Si", "Si", "Si", "Ca", "Ca", "Ca", "Na", "Na", "Na"], "frac_coords": [[0.166, 0.493, 0.859], [0.500, 0.367, 0.410], [0.150, 0.194, 0.406], [0.997, 0.828, 0.098], [0.159, 0.474, 0.261], [0.193, 0.187, 0.096], [0.823, 0.018, 0.096], [0.436, 0.150, 0.524], [0.808, 0.832, 0.196], [0.862, 0.297, 0.532], [0.870, 0.372, 0.911], [0.240, 0.192, 0.800], [0.846, 0.567, 0.027], [0.336, 0.847, 0.970], [0.500, 0.140, 0.635], [0.046, 0.835, 0.411], [0.201, 0.042, 0.308], [0.842, 0.801, 0.309], [0.173, 0.945, 0.919], [0.530, 0.693, 0.262], [0.878, 0.366, 0.634], [0.488, 0.113, 0.917], [0.159, 0.494, 0.974], [0.890, 0.521, 0.419], [0.347, 0.846, 0.569], [0.942, 0.762, 0.809], [0.183, 0.208, 0.698], [0.962, 0.159, 0.307], [0.511, 0.857, 0.363], [0.514, 0.670, 0.971], [0.478, 0.173, 0.237], [0.516, 0.671, 0.865], [0.813, 0.809, 0.595], [0.136, 0.494, 0.576], [0.825, 0.301, 0.241], [0.180, 0.012, 0.602], [0.436, 0.293, 0.032], [0.995, 0.190, 0.598], [0.475, 0.326, 0.734], [0.167, 0.972, 0.197], [0.646, 0.116, 0.417], [0.608, 0.502, 0.916], [0.152, 0.652, 0.075], [0.529, 0.841, 0.468], [0.310, 0.839, 0.266], [0.857, 0.501, 0.139], [0.020, 0.828, 0.696], [0.643, 0.126, 0.137], [0.315, 0.467, 0.754], [0.482, 0.357, 0.135], [0.693, 0.521, 0.240], [0.341, 0.853, 0.863], [0.360, 0.493, 0.078], [0.161, 0.694, 0.469], [0.029, 0.196, 0.194], [0.670, 0.155, 0.733], [0.811, 0.977, 0.696], [0.516, 0.866, 0.079], [0.778, 0.818, 0.920], [0.631, 0.518, 0.633], [0.827, 0.067, 0.808], [0.313, 0.481, 0.472], [0.149, 0.663, 0.364], [0.521, 0.826, 0.761], [0.830, 0.509, 0.729], [0.053, 0.201, 0.924], [0.705, 0.143, 0.034], [0.162, 0.680, 0.759], [0.707, 0.569, 0.531], [0.510, 0.652, 0.574], [0.784, 0.943, 0.410], [0.336, 0.503, 0.360], [0.333, 0.943, 0.917], [0.607, 0.665, 0.917], [0.372, 0.331, 0.084], [0.618, 0.942, 0.414], [0.666, 0.630, 0.583], [0.297, 0.293, 0.748], [0.058, 0.676, 0.415], [0.670, 0.040, 0.085], [0.962, 0.330, 0.583], [0.010, 0.011, 0.354], [0.334, 0.658, 0.304], [0.331, 0.663, 0.522], [0.322, 0.663, 0.807], [0.995, 0.984, 0.651], [0.317, 0.653, 0.023], [0.680, 0.342, 0.190], [0.001, 0.993, 0.152], [0.661, 0.315, 0.685], [0.721, 0.714, 0.253], [0.367, 0.041, 0.580], [0.711, 0.998, 0.753], [0.292, 0.005, 0.252], [0.333, 0.382, 0.414], [0.957, 0.631, 0.083], [0.996, 0.281, 0.250], [0.986, 0.696, 0.752], [0.045, 0.371, 0.915], [0.682, 0.343, 0.978], [0.655, 0.331, 0.478], [0.993, 0.000, 0.855], [0.995, 0.000, 0.993], [0.651, 0.332, 0.338], [0.693, 0.343, 0.841]]}